# Ce2Ti2SiO9

Ce2Ti2SiO9 after structural relaxation (GGA-PBE, the Materials Project database).

Structure (POSCAR):
```
Ce2Ti2SiO9
1.0
2.880 8.466 0.000
-2.880 8.466 0.000
0.000 2.812 7.134
Ce Ti Si O
4 4 2 18
Direct
0.103 0.103 0.303
0.897 0.897 0.697
0.213 0.213 0.683
0.787 0.787 0.317
0.418 0.418 0.451
0.759 0.241 0.000
0.241 0.759 0.000
0.582 0.582 0.549
0.335 0.335 0.985
0.665 0.665 0.015
0.528 0.528 0.810
0.579 0.093 0.485
0.657 0.657 0.234
0.979 0.979 0.184
0.907 0.421 0.515
0.135 0.624 0.021
0.728 0.272 0.500
0.021 0.021 0.816
0.093 0.579 0.485
0.272 0.728 0.500
0.343 0.343 0.766
0.865 0.376 0.979
0.239 0.239 0.137
0.421 0.907 0.515
0.624 0.135 0.021
0.761 0.761 0.863
0.472 0.472 0.190
0.376 0.865 0.979
```

Output
Formation energy from the elements (eV per atom): -3.604
Space-group type: C2/m
Final energy (eV/atom): -8.71